Here is RbHg3 after structural relaxation from the Materials Project. Energies are from r²SCAN.

Space group: P6_3/mmc

Cell and atoms, written as POSCAR:
```
RbHg3
1.0
-5.616 -4.175 -2.492
5.536 1.895 -4.577
2.755 -4.566 1.442
Rb Hg
2 6
direct
0.333 0.667 0.750
0.667 0.333 0.250
0.146 0.293 0.250
0.707 0.854 0.250
0.146 0.854 0.250
0.854 0.707 0.750
0.293 0.146 0.750
0.854 0.146 0.750
```

=====

Here is HgSb4S8 after structural relaxation from the Materials Project. Energies are from r²SCAN.

Space group: C2/c

Cell and atoms, written as POSCAR:
```
HgSb4S8
1.0
-10.165 2.173 4.304
-8.745 -0.330 7.071
5.075 23.561 18.708
Hg Sb S
4 16 32
direct
0.500 0.500 0.000
0.500 0.500 0.500
0.006 0.994 0.250
0.994 0.006 0.750
0.887 0.968 0.118
0.032 0.113 0.382
0.113 0.032 0.882
0.968 0.887 0.618
0.732 0.836 0.043
0.164 0.268 0.457
0.268 0.164 0.957
0.836 0.732 0.543
0.529 0.616 0.132
0.384 0.471 0.368
0.471 0.384 0.868
0.616 0.529 0.632
0.639 0.793 0.208
0.207 0.361 0.292
0.361 0.207 0.792
0.793 0.639 0.708
0.417 0.402 0.059
0.598 0.583 0.441
0.583 0.598 0.941
0.402 0.417 0.559
0.794 0.839 0.229
0.161 0.206 0.271
0.206 0.161 0.771
0.839 0.794 0.729
0.460 0.464 0.171
0.536 0.540 0.329
0.540 0.536 0.829
0.464 0.460 0.671
0.264 0.290 0.148
0.710 0.736 0.352
0.736 0.710 0.852
0.290 0.264 0.648
0.095 0.086 0.191
0.914 0.905 0.309
0.905 0.914 0.809
0.086 0.095 0.691
0.672 0.696 0.021
0.304 0.328 0.479
0.328 0.304 0.979
0.696 0.672 0.521
0.037 0.040 0.079
0.960 0.963 0.421
0.963 0.960 0.921
0.040 0.037 0.579
0.235 0.210 0.102
0.790 0.765 0.398
0.765 0.790 0.898
0.210 0.235 0.602
```

=====

Here is Tl2Hg3S4 after structural relaxation from the Materials Project. Energies are from r²SCAN.

Space group: C2/c

Cell and atoms, written as POSCAR:
```
Tl2Hg3S4
1.0
3.376 5.913 -0.023
-3.376 5.913 -0.023
0.000 5.574 12.081
Tl Hg S
4 6 8
direct
0.104 0.257 0.945
0.743 0.896 0.555
0.896 0.743 0.055
0.257 0.104 0.445
0.123 0.877 0.250
0.877 0.123 0.750
0.554 0.330 0.152
0.670 0.446 0.348
0.446 0.670 0.848
0.330 0.554 0.652
0.710 0.938 0.252
0.062 0.290 0.248
0.290 0.062 0.748
0.938 0.710 0.752
0.264 0.569 0.424
0.431 0.736 0.076
0.736 0.431 0.576
0.569 0.264 0.924
```

=====

Here is ScHg3 after structural relaxation from the Materials Project. Energies are from r²SCAN.

Space group: P6_3/mmc

Cell and atoms, written as POSCAR:
```
ScHg3
1.0
6.430 0.000 0.000
-3.215 5.568 0.000
0.000 0.000 4.835
Sc Hg
2 6
direct
0.667 0.333 0.750
0.333 0.667 0.250
0.661 0.831 0.750
0.339 0.169 0.250
0.831 0.169 0.250
0.169 0.339 0.750
0.169 0.831 0.750
0.831 0.661 0.250
```

=====

For the records above, the corresponding spin magnetization values read 0.00 0.00 0.00 0.00 μB/atom.
For the records above, the corresponding final energy values read -40.739 -16.910 -32.127 -40.133 eV per atom.